Li3Nd3W2O12: relaxed, GGA+U.

a = 10.9457 Å, b = 10.9457 Å, c = 10.9457 Å
α = 109.47°, β = 109.47°, γ = 109.47°
Fractional coordinates of all 80 atoms:
Li (0.1250, 0.7500, 0.8750)
Li (0.1250, 0.8750, 0.2500)
Li (0.2500, 0.1250, 0.8750)
Li (0.2500, 0.6250, 0.3750)
Li (0.3750, 0.2500, 0.6250)
Li (0.3750, 0.6250, 0.7500)
Li (0.6250, 0.3750, 0.2500)
Li (0.6250, 0.7500, 0.3750)
Li (0.7500, 0.3750, 0.6250)
Li (0.7500, 0.8750, 0.1250)
Li (0.8750, 0.1250, 0.7500)
Li (0.8750, 0.2500, 0.1250)
Nd (0.1250, 0.2500, 0.3750)
Nd (0.1250, 0.3750, 0.7500)
Nd (0.2500, 0.3750, 0.1250)
Nd (0.2500, 0.8750, 0.6250)
Nd (0.3750, 0.1250, 0.2500)
Nd (0.3750, 0.7500, 0.1250)
Nd (0.6250, 0.2500, 0.8750)
Nd (0.6250, 0.8750, 0.7500)
Nd (0.7500, 0.1250, 0.3750)
Nd (0.7500, 0.6250, 0.8750)
Nd (0.8750, 0.6250, 0.2500)
Nd (0.8750, 0.7500, 0.6250)
W (0.0000, 0.0000, 0.0000)
W (0.0000, 0.0000, 0.5000)
W (0.0000, 0.5000, 0.0000)
W (0.0000, 0.5000, 0.5000)
W (0.5000, 0.0000, 0.0000)
W (0.5000, 0.0000, 0.5000)
W (0.5000, 0.5000, 0.0000)
W (0.5000, 0.5000, 0.5000)
O (0.0238, 0.1955, 0.1155)
O (0.0238, 0.3283, 0.9083)
O (0.0800, 0.6955, 0.6716)
O (0.0800, 0.8845, 0.4083)
O (0.0917, 0.6155, 0.4200)
O (0.0917, 0.9762, 0.6716)
O (0.1155, 0.0238, 0.1955)
O (0.1155, 0.5917, 0.9200)
O (0.1716, 0.1955, 0.5800)
O (0.1716, 0.4762, 0.5917)
O (0.1955, 0.1155, 0.0238)
O (0.1955, 0.5800, 0.1716)
O (0.3045, 0.3283, 0.9200)
O (0.3045, 0.4762, 0.3845)
O (0.3283, 0.9083, 0.0238)
O (0.3283, 0.9200, 0.3045)
O (0.3845, 0.3045, 0.4762)
O (0.3845, 0.5800, 0.9083)
O (0.4083, 0.0800, 0.8845)
O (0.4083, 0.8284, 0.5238)
O (0.4200, 0.0917, 0.6155)
O (0.4200, 0.8284, 0.8045)
O (0.4762, 0.3845, 0.3045)
O (0.4762, 0.5917, 0.1716)
O (0.5238, 0.4083, 0.8284)
O (0.5238, 0.6155, 0.6955)
O (0.5800, 0.1716, 0.1955)
O (0.5800, 0.9083, 0.3845)
O (0.5917, 0.1716, 0.4762)
O (0.5917, 0.9200, 0.1155)
O (0.6155, 0.4200, 0.0917)
O (0.6155, 0.6955, 0.5238)
O (0.6716, 0.0800, 0.6955)
O (0.6716, 0.0917, 0.9762)
O (0.6955, 0.5238, 0.6155)
O (0.6955, 0.6716, 0.0800)
O (0.8045, 0.4200, 0.8284)
O (0.8045, 0.8845, 0.9762)
O (0.8284, 0.5238, 0.4083)
O (0.8284, 0.8045, 0.4200)
O (0.8845, 0.4083, 0.0800)
O (0.8845, 0.9762, 0.8045)
O (0.9083, 0.0238, 0.3283)
O (0.9083, 0.3845, 0.5800)
O (0.9200, 0.1155, 0.5917)
O (0.9200, 0.3045, 0.3283)
O (0.9762, 0.6716, 0.0917)
O (0.9762, 0.8045, 0.8845)

Calculated values
The value obtained for the corrected total energy (MP2020 scheme) is -8.2389 eV/atom. The calculation puts the formation energy at -2.9727 eV per atom. As for the uncorrected energy: -7.3829 eV per atom. The space-group type is Ia-3d, No. 230.


LiNiO2: relaxed, GGA+U.

a = 4.9921 Å, b = 5.8137 Å, c = 6.5058 Å
α = 102.98°, β = 97.64°, γ = 105.76°
Fractional coordinates of all 20 atoms:
Li (0.0000, 0.0000, 0.0000)
Li (0.2015, 0.3993, 0.3970)
Li (0.3952, 0.7953, 0.7972)
Li (0.6048, 0.2047, 0.2028)
Li (0.7985, 0.6007, 0.6030)
Ni (0.0000, 0.5000, 0.0000)
Ni (0.1986, 0.8989, 0.4001)
Ni (0.4012, 0.3023, 0.7995)
Ni (0.5988, 0.6977, 0.2005)
Ni (0.8014, 0.1011, 0.5999)
O (0.0902, 0.9612, 0.6808)
O (0.0948, 0.4492, 0.7231)
O (0.2780, 0.8244, 0.1048)
O (0.2847, 0.3626, 0.0899)
O (0.4874, 0.7665, 0.4958)
O (0.5126, 0.2335, 0.5042)
O (0.7153, 0.6374, 0.9101)
O (0.7220, 0.1756, 0.8952)
O (0.9052, 0.5508, 0.2769)
O (0.9098, 0.0388, 0.3192)

Calculated values
The value obtained for the corrected total energy (MP2020 scheme) is -5.8851 eV/atom. The calculation puts the formation energy at -1.4889 eV per atom. As for the uncorrected energy: -4.9064 eV per atom. The space-group type is P-1, No. 2.


Li13Ni9O22: relaxed, GGA+U.

a = 6.3788 Å, b = 6.4196 Å, c = 10.0072 Å
α = 96.32°, β = 104.55°, γ = 108.48°
Fractional coordinates of all 44 atoms:
Li (0.0000, 0.0000, 0.0000)
Li (0.0871, 0.4507, 0.6356)
Li (0.1791, 0.9119, 0.2723)
Li (0.1811, 0.9080, 0.7731)
Li (0.2744, 0.3636, 0.9083)
Li (0.3588, 0.8182, 0.5464)
Li (0.4595, 0.2656, 0.1815)
Li (0.5405, 0.7344, 0.8185)
Li (0.6412, 0.1818, 0.4536)
Li (0.7256, 0.6364, 0.0917)
Li (0.8189, 0.0920, 0.2269)
Li (0.8209, 0.0881, 0.7277)
Li (0.9129, 0.5493, 0.3644)
Ni (0.0000, 0.0000, 0.5000)
Ni (0.0918, 0.4577, 0.1371)
Ni (0.2708, 0.3622, 0.4078)
Ni (0.3641, 0.8197, 0.0454)
Ni (0.4533, 0.2665, 0.6805)
Ni (0.5467, 0.7335, 0.3195)
Ni (0.6359, 0.1803, 0.9546)
Ni (0.7292, 0.6378, 0.5922)
Ni (0.9082, 0.5423, 0.8629)
O (0.0252, 0.7387, 0.5649)
O (0.0640, 0.7221, 0.0690)
O (0.1452, 0.1746, 0.6883)
O (0.1485, 0.2156, 0.2135)
O (0.2197, 0.6420, 0.8571)
O (0.2454, 0.6355, 0.3429)
O (0.2950, 0.0862, 0.4741)
O (0.3421, 0.0832, 0.9841)
O (0.3943, 0.5613, 0.1112)
O (0.4171, 0.5256, 0.6040)
O (0.4919, 0.9741, 0.2377)
O (0.5081, 0.0259, 0.7623)
O (0.5829, 0.4744, 0.3960)
O (0.6057, 0.4387, 0.8888)
O (0.6579, 0.9168, 0.0159)
O (0.7050, 0.9138, 0.5259)
O (0.7546, 0.3645, 0.6571)
O (0.7803, 0.3580, 0.1429)
O (0.8515, 0.7844, 0.7865)
O (0.8548, 0.8254, 0.3117)
O (0.9360, 0.2779, 0.9310)
O (0.9748, 0.2613, 0.4351)

Calculated values
The value obtained for the corrected total energy (MP2020 scheme) is -5.7474 eV/atom. The calculation puts the formation energy at -1.5271 eV per atom. As for the uncorrected energy: -4.8841 eV per atom. The space-group type is P-1, No. 2.


Li3Ni4O8: relaxed, GGA+U.

a = 5.8172 Å, b = 5.8172 Å, c = 5.8022 Å
α = 119.62°, β = 119.62°, γ = 57.68°
Fractional coordinates of all 15 atoms:
Li (0.0000, 0.0000, 0.0000)
Li (0.0000, 0.5000, 0.0000)
Li (0.5000, 0.0000, 0.0000)
Ni (0.0000, 0.0000, 0.5000)
Ni (0.0000, 0.5000, 0.5000)
Ni (0.5000, 0.0000, 0.5000)
Ni (0.5000, 0.5000, 0.5000)
O (0.2233, 0.2233, 0.7057)
O (0.2447, 0.7537, 0.2803)
O (0.2463, 0.7553, 0.7197)
O (0.2474, 0.2474, 0.2786)
O (0.7526, 0.7526, 0.7214)
O (0.7537, 0.2447, 0.2803)
O (0.7553, 0.2463, 0.7197)
O (0.7767, 0.7767, 0.2943)

Calculated values
The value obtained for the corrected total energy (MP2020 scheme) is -5.9198 eV/atom. The calculation puts the formation energy at -1.3577 eV per atom. As for the uncorrected energy: -4.8758 eV per atom. The space-group type is C2/m, No. 12. Its energy relative to the lowest polymorph listed for this composition is 0.0 meV per atom.


LiNi2O3: relaxed, GGA+U.

a = 5.0911 Å, b = 5.0911 Å, c = 9.7128 Å
α = 95.14°, β = 95.14°, γ = 120.16°
Fractional coordinates of all 24 atoms:
Li (0.0854, 0.9146, 0.7500)
Li (0.2556, 0.7444, 0.2500)
Li (0.7444, 0.2556, 0.7500)
Li (0.9146, 0.0854, 0.2500)
Ni (0.0000, 0.5000, 0.5000)
Ni (0.1675, 0.3334, 0.0004)
Ni (0.3334, 0.1675, 0.5004)
Ni (0.4149, 0.5851, 0.7500)
Ni (0.5000, 0.0000, 0.0000)
Ni (0.5851, 0.4149, 0.2500)
Ni (0.6666, 0.8325, 0.4996)
Ni (0.8325, 0.6666, 0.9996)
O (0.0396, 0.2305, 0.6160)
O (0.1505, 0.6479, 0.8849)
O (0.2305, 0.0396, 0.1160)
O (0.3013, 0.4534, 0.3751)
O (0.3521, 0.8495, 0.6151)
O (0.4534, 0.3013, 0.8751)
O (0.5466, 0.6987, 0.1249)
O (0.6479, 0.1505, 0.3849)
O (0.6987, 0.5466, 0.6249)
O (0.7695, 0.9604, 0.8840)
O (0.8495, 0.3521, 0.1151)
O (0.9604, 0.7695, 0.3840)

Calculated values
The value obtained for the corrected total energy (MP2020 scheme) is -6.1217 eV/atom. The calculation puts the formation energy at -1.4029 eV per atom. As for the uncorrected energy: -4.9312 eV per atom. The space-group type is C2/c, No. 15. Its energy relative to the lowest polymorph listed for this composition is 0.0 meV per atom.


Li6NiO4: relaxed, GGA+U.

a = 6.5999 Å, b = 4.6576 Å, c = 6.6010 Å
α = 90.00°, β = 90.05°, γ = 90.00°
Fractional coordinates of all 22 atoms:
Li (0.0000, 0.0000, 0.0000)
Li (0.0000, 0.4998, 0.0000)
Li (0.2139, 0.0535, 0.2858)
Li (0.2217, 0.0533, 0.7221)
Li (0.2783, 0.5532, 0.2216)
Li (0.2858, 0.5529, 0.7859)
Li (0.5000, 0.1066, 0.5000)
Li (0.5000, 0.6064, 0.5000)
Li (0.7142, 0.5529, 0.2141)
Li (0.7217, 0.5532, 0.7784)
Li (0.7783, 0.0533, 0.2779)
Li (0.7861, 0.0535, 0.7142)
Ni (0.0000, 0.5552, 0.5000)
Ni (0.5000, 0.0528, 0.0000)
O (0.0096, 0.7621, 0.7642)
O (0.2362, 0.2615, 0.0095)
O (0.2635, 0.3449, 0.5097)
O (0.4905, 0.8443, 0.2637)
O (0.5095, 0.8443, 0.7363)
O (0.7365, 0.3449, 0.4903)
O (0.7638, 0.2615, 0.9905)
O (0.9904, 0.7621, 0.2358)

Calculated values
The value obtained for the corrected total energy (MP2020 scheme) is -5.2365 eV/atom. The calculation puts the formation energy at -1.8705 eV per atom. As for the uncorrected energy: -4.7557 eV per atom. The space-group type is P2, No. 3. Its energy relative to the lowest polymorph listed for this composition is 16.8 meV per atom.


LiNiO2: relaxed, GGA+U.

a = 2.7878 Å, b = 5.1690 Å, c = 10.1662 Å
α = 75.28°, β = 82.11°, γ = 90.00°
Fractional coordinates of all 16 atoms:
O (0.9429, 0.9193, 0.1131)
O (0.0550, 0.7486, 0.8896)
O (0.3062, 0.6117, 0.3890)
O (0.6931, 0.7175, 0.6133)
O (0.1930, 0.2174, 0.6134)
O (0.8060, 0.1118, 0.3890)
O (0.4428, 0.4192, 0.1132)
O (0.5552, 0.2489, 0.8894)
Ni (0.7497, 0.4137, 0.5010)
Ni (0.9993, 0.3351, 0.0009)
Ni (0.2497, 0.9140, 0.5009)
Ni (0.4993, 0.8351, 0.0009)
Li (0.8777, 0.5363, 0.2428)
Li (0.1300, 0.4713, 0.7424)
Li (0.3777, 0.0364, 0.2428)
Li (0.6300, 0.9713, 0.7424)

Calculated values
The value obtained for the corrected total energy (MP2020 scheme) is -5.8760 eV/atom. The calculation puts the formation energy at -1.4797 eV per atom. As for the uncorrected energy: -4.8972 eV per atom.


LiNi9O13: relaxed, GGA+U.

a = 2.9445 Å, b = 5.1115 Å, c = 15.5478 Å
α = 88.01°, β = 86.61°, γ = 80.38°
Fractional coordinates of all 23 atoms:
Li (0.0000, 0.0000, 0.0000)
Ni (0.0003, 0.1683, 0.4765)
Ni (0.1775, 0.0220, 0.1534)
Ni (0.2352, 0.3954, 0.8481)
Ni (0.3277, 0.6173, 0.3843)
Ni (0.4035, 0.2121, 0.6483)
Ni (0.6175, 0.0836, 0.3150)
Ni (0.6476, 0.5110, 0.0140)
Ni (0.7101, 0.6971, 0.5582)
Ni (0.8164, 0.9101, 0.8364)
O (0.0318, 0.9828, 0.5919)
O (0.1259, 0.6756, 0.9340)
O (0.1784, 0.2937, 0.0597)
O (0.2280, 0.8532, 0.2802)
O (0.3176, 0.0965, 0.7738)
O (0.3425, 0.4550, 0.5075)
O (0.6140, 0.2126, 0.2029)
O (0.6235, 0.9098, 0.4325)
O (0.7128, 0.8330, 0.0974)
O (0.7306, 0.2223, 0.9098)
O (0.7418, 0.5796, 0.7903)
O (0.8164, 0.4645, 0.6599)
O (0.9469, 0.3446, 0.3606)

Calculated values
The value obtained for the corrected total energy (MP2020 scheme) is -6.0228 eV/atom. The calculation puts the formation energy at -0.8813 eV per atom. As for the uncorrected energy: -4.6402 eV per atom. The space-group type is P1, No. 1. Its energy relative to the lowest polymorph listed for this composition is 88.6 meV per atom.


LiNiO2: relaxed, GGA+U.

a = 5.7464 Å, b = 5.8030 Å, c = 9.9872 Å
α = 73.90°, β = 73.28°, γ = 60.37°
Fractional coordinates of all 32 atoms:
Li (0.0000, 0.0000, 0.0000)
Li (0.2384, 0.7536, 0.2490)
Li (0.2476, 0.2499, 0.2509)
Li (0.2558, 0.2635, 0.7428)
Li (0.5000, 0.5000, 0.5000)
Li (0.7442, 0.7365, 0.2572)
Li (0.7524, 0.7501, 0.7491)
Li (0.7616, 0.2464, 0.7510)
Ni (0.0000, 0.0000, 0.5000)
Ni (0.0000, 0.5000, 0.0000)
Ni (0.0000, 0.5000, 0.5000)
Ni (0.2522, 0.7527, 0.7495)
Ni (0.5000, 0.0000, 0.0000)
Ni (0.5000, 0.0000, 0.5000)
Ni (0.5000, 0.5000, 0.0000)
Ni (0.7478, 0.2473, 0.2505)
O (0.1127, 0.1508, 0.1172)
O (0.1202, 0.6537, 0.6212)
O (0.1426, 0.6091, 0.1101)
O (0.1531, 0.1226, 0.6202)
O (0.3623, 0.8893, 0.3899)
O (0.3849, 0.8429, 0.8851)
O (0.3903, 0.3417, 0.3828)
O (0.3975, 0.3730, 0.8817)
O (0.6025, 0.6270, 0.1183)
O (0.6097, 0.6583, 0.6172)
O (0.6151, 0.1571, 0.1149)
O (0.6377, 0.1107, 0.6101)
O (0.8469, 0.8774, 0.3798)
O (0.8574, 0.3909, 0.8899)
O (0.8798, 0.3463, 0.3788)
O (0.8873, 0.8492, 0.8828)

Calculated values
The value obtained for the corrected total energy (MP2020 scheme) is -5.8569 eV/atom. The calculation puts the formation energy at -1.4606 eV per atom. As for the uncorrected energy: -4.8781 eV per atom. The space-group type is P-1, No. 2.


Li5NiO4: relaxed, GGA+U.

a = 9.0711 Å, b = 9.1844 Å, c = 9.1528 Å
α = 90.00°, β = 90.00°, γ = 90.00°
Fractional coordinates of all 80 atoms:
Li (0.1037, 0.1473, 0.1235)
Li (0.1037, 0.3527, 0.6235)
Li (0.1053, 0.6560, 0.8811)
Li (0.1053, 0.8440, 0.3811)
Li (0.1262, 0.6189, 0.1482)
Li (0.1262, 0.8811, 0.6482)
Li (0.1435, 0.1093, 0.3881)
Li (0.1435, 0.3907, 0.8881)
Li (0.1596, 0.6180, 0.6099)
Li (0.1596, 0.8820, 0.1099)
Li (0.3404, 0.1180, 0.6099)
Li (0.3404, 0.3820, 0.1099)
Li (0.3565, 0.6093, 0.3881)
Li (0.3565, 0.8907, 0.8881)
Li (0.3738, 0.1189, 0.1482)
Li (0.3738, 0.3811, 0.6482)
Li (0.3947, 0.1560, 0.8811)
Li (0.3947, 0.3440, 0.3811)
Li (0.3963, 0.6473, 0.1235)
Li (0.3963, 0.8527, 0.6235)
Li (0.6037, 0.1473, 0.3765)
Li (0.6037, 0.3527, 0.8765)
Li (0.6053, 0.6560, 0.6189)
Li (0.6053, 0.8440, 0.1189)
Li (0.6262, 0.6189, 0.3518)
Li (0.6262, 0.8811, 0.8518)
Li (0.6435, 0.1093, 0.1119)
Li (0.6435, 0.3907, 0.6119)
Li (0.6596, 0.6180, 0.8901)
Li (0.6596, 0.8820, 0.3901)
Li (0.8404, 0.1180, 0.8901)
Li (0.8404, 0.3820, 0.3901)
Li (0.8565, 0.6093, 0.1119)
Li (0.8565, 0.8907, 0.6119)
Li (0.8738, 0.1189, 0.3518)
Li (0.8738, 0.3811, 0.8518)
Li (0.8947, 0.1560, 0.6189)
Li (0.8947, 0.3440, 0.1189)
Li (0.8963, 0.6473, 0.3765)
Li (0.8963, 0.8527, 0.8765)
Ni (0.1181, 0.1173, 0.8534)
Ni (0.1181, 0.3827, 0.3534)
Ni (0.3819, 0.6173, 0.8534)
Ni (0.3819, 0.8827, 0.3534)
Ni (0.6181, 0.1173, 0.6466)
Ni (0.6181, 0.3827, 0.1466)
Ni (0.8819, 0.6173, 0.6466)
Ni (0.8819, 0.8827, 0.1466)
O (0.0007, 0.2454, 0.9658)
O (0.0007, 0.2546, 0.4658)
O (0.0144, 0.5062, 0.7484)
O (0.0144, 0.9938, 0.2484)
O (0.2390, 0.2459, 0.7521)
O (0.2390, 0.2541, 0.2521)
O (0.2445, 0.0353, 0.9922)
O (0.2445, 0.4647, 0.4922)
O (0.2555, 0.5353, 0.9922)
O (0.2555, 0.9647, 0.4922)
O (0.2610, 0.7459, 0.7521)
O (0.2610, 0.7541, 0.2521)
O (0.4856, 0.0062, 0.7484)
O (0.4856, 0.4938, 0.2484)
O (0.4993, 0.7454, 0.9658)
O (0.4993, 0.7546, 0.4658)
O (0.5007, 0.2454, 0.5342)
O (0.5007, 0.2546, 0.0342)
O (0.5144, 0.5062, 0.7516)
O (0.5144, 0.9938, 0.2516)
O (0.7390, 0.2459, 0.7479)
O (0.7390, 0.2541, 0.2479)
O (0.7445, 0.0353, 0.5078)
O (0.7445, 0.4647, 0.0078)
O (0.7555, 0.5353, 0.5078)
O (0.7555, 0.9647, 0.0078)
O (0.7610, 0.7459, 0.7479)
O (0.7610, 0.7541, 0.2479)
O (0.9856, 0.0062, 0.7516)
O (0.9856, 0.4938, 0.2516)
O (0.9993, 0.7454, 0.5342)
O (0.9993, 0.7546, 0.0342)

Calculated values
The value obtained for the corrected total energy (MP2020 scheme) is -5.3372 eV/atom. The calculation puts the formation energy at -1.8255 eV per atom. As for the uncorrected energy: -4.8083 eV per atom. The space-group type is Pbca, No. 61.